(1)
The following is a r2SCAN calculation of a relaxed Al2Au crystal, from the Materials Project.

Unit cell a=4.246 b=4.246 c=4.246 alpha=60.00 beta=60.00 gamma=60.00
Sites, in units of the cell vectors:
1 Al 0.250 0.250 0.250
2 Al 0.750 0.750 0.750
3 Au 0.000 0.000 0.000

**Symmetry**: No. 225



(2)
The following is a r2SCAN calculation of a relaxed Hf2MoIr crystal, from the Materials Project.

Unit cell a=4.617 b=4.617 c=4.617 alpha=60.00 beta=60.00 gamma=60.00
Sites, in units of the cell vectors:
1 Hf 0.000 0.000 0.000
2 Hf 0.500 0.500 0.500
3 Mo 0.750 0.750 0.750
4 Ir 0.250 0.250 0.250

**Symmetry**: No. 225



(3)
The following is a r2SCAN calculation of a relaxed SnO2 crystal, from the Materials Project.

Unit cell a=5.853 b=5.853 c=5.853 alpha=140.03 beta=140.03 gamma=57.80
Sites, in units of the cell vectors:
1 O 0.547 0.047 0.500
2 O 0.953 0.453 0.500
3 O 0.797 0.797 0.000
4 O 0.203 0.203 0.000
5 Sn 0.750 0.250 0.500
6 Sn 0.000 0.000 0.000

**Symmetry**: No. 141



(4)
The following is a r2SCAN calculation of a relaxed TiCoGe crystal, from the Materials Project.

Unit cell a=6.167 b=6.168 c=3.693 alpha=90.00 beta=90.00 gamma=120.00
Sites, in units of the cell vectors:
1 Ge 0.000 0.000 0.500
2 Ge 0.667 0.333 0.000
3 Ge 0.333 0.667 0.000
4 Ti 0.431 0.431 0.500
5 Ti 0.000 0.569 0.500
6 Ti 0.569 0.000 0.500
7 Co 0.000 0.245 0.000
8 Co 0.755 0.755 0.000
9 Co 0.245 0.000 0.000

**Symmetry**: No. 189



no.,DFT formation energy (eV per atom),magnetization (μB/f.u.)
1,-0.495,0.00
2,-0.675,0.00
3,-1.792,0.00
4,-0.555,0.52